1.
Entry from the Materials Project: an optimized crystal structure of La5Rh4 (PBE).

Unit cell a=7.646 b=15.427 c=7.724 alpha=90.00 beta=90.00 gamma=90.00
Atoms (fractional coordinates):
1 La 0.004 0.091 0.182
2 La 0.004 0.409 0.182
3 La 0.161 0.122 0.665
4 La 0.161 0.378 0.665
5 La 0.186 0.750 0.524
6 La 0.314 0.250 0.024
7 La 0.339 0.622 0.165
8 La 0.339 0.878 0.165
9 La 0.496 0.591 0.682
10 La 0.496 0.909 0.682
11 La 0.504 0.091 0.318
12 La 0.504 0.409 0.318
13 La 0.661 0.122 0.835
14 La 0.661 0.378 0.835
15 La 0.686 0.750 0.976
16 La 0.814 0.250 0.476
17 La 0.839 0.622 0.335
18 La 0.839 0.878 0.335
19 La 0.996 0.591 0.818
20 La 0.996 0.909 0.818
21 Rh 0.030 0.750 0.110
22 Rh 0.187 0.541 0.471
23 Rh 0.187 0.959 0.471
24 Rh 0.199 0.250 0.361
25 Rh 0.301 0.750 0.861
26 Rh 0.313 0.041 0.971
27 Rh 0.313 0.459 0.971
28 Rh 0.470 0.250 0.610
29 Rh 0.530 0.750 0.390
30 Rh 0.687 0.541 0.029
31 Rh 0.687 0.959 0.029
32 Rh 0.699 0.250 0.139
33 Rh 0.801 0.750 0.639
34 Rh 0.813 0.041 0.529
35 Rh 0.813 0.459 0.529
36 Rh 0.970 0.250 0.890

Values from the calculation:
**Uncorrected energy**: -0.24656 hartree per atom
**Size of the total moment**: 0.0 μB per formula unit


2.
Entry from the Materials Project: an optimized crystal structure of La2Rh7 (PBE).

Unit cell a=13.669 b=13.669 c=13.669 alpha=22.52 beta=22.52 gamma=22.52
Atoms (fractional coordinates):
1 La 0.050 0.050 0.050
2 La 0.147 0.147 0.147
3 La 0.853 0.853 0.853
4 La 0.950 0.950 0.950
5 Rh 0.000 0.500 0.500
6 Rh 0.109 0.610 0.610
7 Rh 0.278 0.278 0.278
8 Rh 0.388 0.388 0.388
9 Rh 0.390 0.390 0.891
10 Rh 0.390 0.891 0.390
11 Rh 0.500 0.000 0.500
12 Rh 0.500 0.500 0.000
13 Rh 0.500 0.500 0.500
14 Rh 0.610 0.109 0.610
15 Rh 0.610 0.610 0.109
16 Rh 0.612 0.612 0.612
17 Rh 0.722 0.722 0.722
18 Rh 0.891 0.390 0.390

Values from the calculation:
**Distance to the lowest polymorph of the same formula**: 0.115 eV/f.u.
**Size of the total moment**: 0.0 μB per formula unit


3.
Entry from the Materials Project: an optimized crystal structure of La7Rh3 (PBE).

Unit cell a=10.316 b=10.316 c=6.488 alpha=90.00 beta=90.00 gamma=120.00
Atoms (fractional coordinates):
1 La 0.084 0.542 0.000
2 La 0.125 0.250 0.671
3 La 0.125 0.875 0.671
4 La 0.250 0.125 0.171
5 La 0.333 0.667 0.474
6 La 0.458 0.542 0.000
7 La 0.458 0.916 0.000
8 La 0.542 0.084 0.500
9 La 0.542 0.458 0.500
10 La 0.667 0.333 0.974
11 La 0.750 0.875 0.671
12 La 0.875 0.125 0.171
13 La 0.875 0.750 0.171
14 La 0.916 0.458 0.500
15 Rh 0.190 0.380 0.263
16 Rh 0.190 0.810 0.263
17 Rh 0.380 0.190 0.763
18 Rh 0.620 0.810 0.263
19 Rh 0.810 0.190 0.763
20 Rh 0.810 0.620 0.763

Values from the calculation:
**Uncorrected energy**: -0.22800 hartree per atom
**Size of the total moment**: 0.0 μB per formula unit


4.
Entry from the Materials Project: an optimized crystal structure of La4Rh (PBE).

Unit cell a=8.017 b=8.017 c=8.017 alpha=60.00 beta=60.00 gamma=60.00
Atoms (fractional coordinates):
1 La 0.215 0.762 0.762
2 La 0.238 0.238 0.238
3 La 0.238 0.238 0.785
4 La 0.238 0.785 0.238
5 La 0.762 0.215 0.762
6 La 0.762 0.762 0.215
7 La 0.762 0.762 0.762
8 La 0.785 0.238 0.238
9 Rh 0.375 0.375 0.375
10 Rh 0.625 0.625 0.625

Values from the calculation:
**Uncorrected energy**: -0.20025 hartree per atom
**Size of the total moment**: 0.0 μB per formula unit


5.
Entry from the Materials Project: an optimized crystal structure of La2Rh7 (PBE).

Unit cell a=5.342 b=5.342 c=26.638 alpha=90.00 beta=90.00 gamma=120.00
Atoms (fractional coordinates):
1 La 0.333 0.667 0.030
2 La 0.333 0.667 0.175
3 La 0.333 0.667 0.325
4 La 0.333 0.667 0.470
5 La 0.667 0.333 0.530
6 La 0.667 0.333 0.675
7 La 0.667 0.333 0.825
8 La 0.667 0.333 0.970
9 Rh 0.000 0.000 0.000
10 Rh 0.000 0.000 0.167
11 Rh 0.000 0.000 0.333
12 Rh 0.000 0.000 0.500
13 Rh 0.000 0.000 0.667
14 Rh 0.000 0.000 0.833
15 Rh 0.167 0.333 0.750
16 Rh 0.167 0.334 0.586
17 Rh 0.167 0.334 0.914
18 Rh 0.167 0.833 0.586
19 Rh 0.167 0.833 0.750
20 Rh 0.167 0.833 0.914
21 Rh 0.333 0.167 0.250
22 Rh 0.333 0.667 0.667
23 Rh 0.333 0.667 0.833
24 Rh 0.334 0.167 0.086
25 Rh 0.334 0.167 0.414
26 Rh 0.666 0.833 0.586
27 Rh 0.666 0.833 0.914
28 Rh 0.667 0.333 0.167
29 Rh 0.667 0.333 0.333
30 Rh 0.667 0.833 0.750
31 Rh 0.833 0.167 0.086
32 Rh 0.833 0.167 0.250
33 Rh 0.833 0.167 0.414
34 Rh 0.833 0.666 0.086
35 Rh 0.833 0.666 0.414
36 Rh 0.833 0.667 0.250

Values from the calculation:
**Distance to the lowest polymorph of the same formula**: 0.000 eV/f.u.


6.
Entry from the Materials Project: an optimized crystal structure of LaSbRh (PBE).

Unit cell a=7.615 b=4.700 c=7.991 alpha=90.00 beta=90.00 gamma=90.00
Atoms (fractional coordinates):
1 La 0.019 0.250 0.197
2 La 0.481 0.750 0.697
3 La 0.519 0.250 0.303
4 La 0.981 0.750 0.803
5 Sb 0.183 0.250 0.589
6 Sb 0.317 0.750 0.089
7 Sb 0.683 0.250 0.911
8 Sb 0.817 0.750 0.411
9 Rh 0.195 0.750 0.411
10 Rh 0.305 0.250 0.911
11 Rh 0.695 0.750 0.089
12 Rh 0.805 0.250 0.589

Values from the calculation:
**Uncorrected energy**: -0.23828 hartree per atom


7.
Entry from the Materials Project: an optimized crystal structure of La3Si2Rh3 (PBE).

Unit cell a=7.851 b=15.093 c=5.913 alpha=90.00 beta=90.00 gamma=90.00
Atoms (fractional coordinates):
1 La 0.023 0.108 0.143
2 La 0.023 0.392 0.143
3 La 0.161 0.250 0.617
4 La 0.339 0.750 0.117
5 La 0.477 0.608 0.643
6 La 0.477 0.892 0.643
7 La 0.523 0.108 0.357
8 La 0.523 0.392 0.357
9 La 0.661 0.250 0.883
10 La 0.839 0.750 0.383
11 La 0.977 0.608 0.857
12 La 0.977 0.892 0.857
13 Si 0.130 0.595 0.363
14 Si 0.130 0.905 0.363
15 Si 0.370 0.095 0.863
16 Si 0.370 0.405 0.863
17 Si 0.630 0.595 0.137
18 Si 0.630 0.905 0.137
19 Si 0.870 0.095 0.637
20 Si 0.870 0.405 0.637
21 Rh 0.158 0.037 0.603
22 Rh 0.158 0.463 0.603
23 Rh 0.184 0.750 0.563
24 Rh 0.316 0.250 0.063
25 Rh 0.342 0.537 0.103
26 Rh 0.342 0.963 0.103
27 Rh 0.658 0.037 0.897
28 Rh 0.658 0.463 0.897
29 Rh 0.684 0.750 0.937
30 Rh 0.816 0.250 0.437
31 Rh 0.842 0.537 0.397
32 Rh 0.842 0.963 0.397

Values from the calculation:
**Uncorrected energy**: -0.25374 hartree per atom


8.
Entry from the Materials Project: an optimized crystal structure of LaSi3Rh (PBE).

Unit cell a=5.808 b=5.808 c=5.808 alpha=136.76 beta=136.76 gamma=62.80
Atoms (fractional coordinates):
1 La 0.000 0.000 0.000
2 Si 0.262 0.762 0.500
3 Si 0.414 0.414 0.000
4 Si 0.762 0.262 0.500
5 Rh 0.655 0.655 0.000

Values from the calculation:
**Uncorrected energy**: -0.24090 hartree per atom


9.
Entry from the Materials Project: an optimized crystal structure of La3Sn13Rh4 (PBE).

Unit cell a=9.877 b=9.877 c=9.877 alpha=90.00 beta=90.00 gamma=90.00
Atoms (fractional coordinates):
1 La 0.000 0.250 0.500
2 La 0.000 0.750 0.500
3 La 0.250 0.500 0.000
4 La 0.500 0.000 0.250
5 La 0.500 0.000 0.750
6 La 0.750 0.500 0.000
7 Sn 0.000 0.000 0.000
8 Sn 0.000 0.306 0.153
9 Sn 0.000 0.306 0.847
10 Sn 0.000 0.694 0.153
11 Sn 0.000 0.694 0.847
12 Sn 0.153 0.000 0.306
13 Sn 0.153 0.000 0.694
14 Sn 0.194 0.500 0.347
15 Sn 0.194 0.500 0.653
16 Sn 0.306 0.153 0.000
17 Sn 0.306 0.847 0.000
18 Sn 0.347 0.194 0.500
19 Sn 0.347 0.806 0.500
20 Sn 0.500 0.347 0.194
21 Sn 0.500 0.347 0.806
22 Sn 0.500 0.500 0.500
23 Sn 0.500 0.653 0.194
24 Sn 0.500 0.653 0.806
25 Sn 0.653 0.194 0.500
26 Sn 0.653 0.806 0.500
27 Sn 0.694 0.153 0.000
28 Sn 0.694 0.847 0.000
29 Sn 0.806 0.500 0.347
30 Sn 0.806 0.500 0.653
31 Sn 0.847 0.000 0.306
32 Sn 0.847 0.000 0.694
33 Rh 0.250 0.250 0.250
34 Rh 0.250 0.250 0.750
35 Rh 0.250 0.750 0.250
36 Rh 0.250 0.750 0.750
37 Rh 0.750 0.250 0.250
38 Rh 0.750 0.250 0.750
39 Rh 0.750 0.750 0.250
40 Rh 0.750 0.750 0.750

Values from the calculation:
**Uncorrected energy**: -0.19954 hartree per atom
**Size of the total moment**: 0.0 μB per formula unit


10.
Entry from the Materials Project: an optimized crystal structure of LaSn2Rh (PBE).

Unit cell a=9.724 b=9.724 c=4.676 alpha=90.00 beta=90.00 gamma=152.67
Atoms (fractional coordinates):
1 La 0.109 0.891 0.750
2 La 0.891 0.109 0.250
3 Sn 0.252 0.748 0.250
4 Sn 0.456 0.544 0.750
5 Sn 0.544 0.456 0.250
6 Sn 0.748 0.252 0.750
7 Rh 0.320 0.680 0.750
8 Rh 0.680 0.320 0.250

Values from the calculation:
**Uncorrected energy**: -0.21420 hartree per atom
**Size of the total moment**: 0.0 μB per formula unit


11.
Entry from the Materials Project: an optimized crystal structure of LaSnRh (PBE).

Unit cell a=7.548 b=7.548 c=4.264 alpha=90.00 beta=90.00 gamma=120.00
Atoms (fractional coordinates):
1 La 0.000 0.584 0.000
2 La 0.416 0.416 0.000
3 La 0.584 0.000 0.000
4 Sn 0.000 0.246 0.500
5 Sn 0.246 0.000 0.500
6 Sn 0.754 0.754 0.500
7 Rh 0.000 0.000 0.000
8 Rh 0.333 0.667 0.500
9 Rh 0.667 0.333 0.500

Values from the calculation:
**Uncorrected energy**: -0.23252 hartree per atom


12.
Entry from the Materials Project: an optimized crystal structure of LaSn2Rh (PBE).

Unit cell a=8.961 b=8.961 c=9.772 alpha=90.00 beta=90.00 gamma=149.70
Atoms (fractional coordinates):
1 La 0.000 0.000 0.000
2 La 0.000 0.000 0.500
3 La 0.204 0.796 0.750
4 La 0.796 0.204 0.250
5 Sn 0.198 0.802 0.090
6 Sn 0.198 0.802 0.410
7 Sn 0.408 0.592 0.750
8 Sn 0.426 0.574 0.250
9 Sn 0.574 0.426 0.750
10 Sn 0.592 0.408 0.250
11 Sn 0.802 0.198 0.590
12 Sn 0.802 0.198 0.910
13 Rh 0.354 0.646 0.005
14 Rh 0.354 0.646 0.495
15 Rh 0.646 0.354 0.505
16 Rh 0.646 0.354 0.995

Values from the calculation:
**Uncorrected energy**: -0.21557 hartree per atom